(1)
Compound: Dy2Zn17
Source: the Materials Project database
Functional: PBE
Structure: relaxed

POSCAR file:
```
Dy2Zn17
1.0
-2.511 5.116 3.709
-1.074 -3.502 5.729
5.766 1.705 3.175
Dy Zn
2 17
Cartesian
1.451 2.208 8.389 Dy
0.730 1.112 4.224 Dy
-1.501 -0.938 5.128 Zn
2.883 0.853 1.588 Zn
1.963 2.988 11.352 Zn
1.936 3.854 5.390 Zn
2.635 -0.336 6.372 Zn
-1.255 2.558 1.855 Zn
3.571 1.997 5.982 Zn
0.218 0.332 1.261 Zn
-2.083 2.552 4.310 Zn
3.304 2.720 3.334 Zn
-1.390 1.322 6.631 Zn
0.245 -0.535 7.223 Zn
-0.453 3.655 6.241 Zn
-0.049 4.102 3.550 Zn
-0.537 -1.751 2.864 Zn
3.731 0.156 3.935 Zn
0.961 -1.953 4.969 Zn
```

Values from the calculation:
offset from the most stable computed form: 0 meV/atom
energy of formation from the pure elements: -244 meV/atom


(2)
Compound: DyZn
Source: the Materials Project database
Functional: PBE
Structure: relaxed

POSCAR file:
```
DyZn
1.0
-1.309 3.258 -0.655
-1.017 -1.063 -3.255
-3.164 -1.007 1.317
Dy Zn
1 1
Cartesian
0.000 0.000 0.000 Dy
-2.745 0.594 -1.296 Zn
```

Values from the calculation:
energy of formation from the pure elements: -347 meV/atom


(3)
Compound: Dy3Zr
Source: the Materials Project database
Functional: PBE
Structure: relaxed

POSCAR file:
```
Dy3Zr
1.0
-2.439 2.439 4.861
2.439 -2.439 4.861
2.439 2.439 -4.861
Dy Zr
3 1
Cartesian
0.000 0.000 4.861 Dy
0.000 2.439 2.431 Dy
2.439 0.000 2.431 Dy
0.000 0.000 0.000 Zr
```

Values from the calculation:
offset from the most stable computed form: 2 meV/atom
total magnetic moment: 0.00 Bohr magnetons per cell
energy of formation from the pure elements: 95 meV/atom


(4)
Compound: DyZr
Source: the Materials Project database
Functional: PBE
Structure: relaxed

POSCAR file:
```
DyZr
1.0
1.699 -2.943 0.000
1.699 2.943 0.000
0.000 0.000 5.419
Dy Zr
1 1
Cartesian
1.699 0.981 2.709 Dy
0.000 0.000 0.000 Zr
```

Values from the calculation:
total magnetic moment: 0.00 Bohr magnetons per cell
energy of formation from the pure elements: 104 meV/atom


(5)
Compound: Dy3Zr
Source: the Materials Project database
Functional: PBE
Structure: relaxed

POSCAR file:
```
Dy3Zr
1.0
-4.137 -2.469 0.708
1.076 -0.448 4.728
-2.332 4.173 0.926
Dy Zr
3 1
Cartesian
-0.628 1.863 2.827 Dy
-3.234 0.852 0.817 Dy
-1.530 -1.458 2.718 Dy
0.000 0.000 0.000 Zr
```

Values from the calculation:
offset from the most stable computed form: 0 meV/atom
total magnetic moment: 0.00 Bohr magnetons per cell
energy of formation from the pure elements: 93 meV/atom


(6)
Compound: Er
Source: the Materials Project database
Functional: PBE
Structure: relaxed

POSCAR file:
```
Er
1.0
8.579 -1.768 0.000
8.579 1.768 0.000
8.215 0.000 3.040
Er
3
Cartesian
0.000 0.000 0.000 Er
5.634 0.000 0.675 Er
19.739 0.000 2.365 Er
```

Values from the calculation:
offset from the most stable computed form: 0 meV/atom
energy of formation from the pure elements: 0 meV/atom


(7)
Compound: Er
Source: the Materials Project database
Functional: PBE
Structure: relaxed

POSCAR file:
```
Er
1.0
1.530 2.269 -2.206
-3.070 -1.484 -0.855
-5.544 8.592 4.993
Er
4
Cartesian
-2.923 1.915 -0.057 Er
-2.772 4.296 2.497 Er
-4.162 7.462 1.989 Er
0.000 0.000 0.000 Er
```

Values from the calculation:
offset from the most stable computed form: 8 meV/atom
energy of formation from the pure elements: 8 meV/atom


(8)
Compound: Er
Source: the Materials Project database
Functional: PBE
Structure: relaxed

POSCAR file:
```
Er
1.0
2.389 -0.772 2.448
0.630 2.258 2.608
-1.021 -0.765 3.266
Er
1
Cartesian
0.000 0.000 0.000 Er
```

Values from the calculation:
offset from the most stable computed form: 27 meV/atom
energy of formation from the pure elements: 27 meV/atom


(9)
Compound: Er
Source: the Materials Project database
Functional: PBE
Structure: relaxed

POSCAR file:
```
Er
1.0
-1.981 1.981 1.981
1.981 -1.981 1.981
1.981 1.981 -1.981
Er
1
Cartesian
0.000 0.000 0.000 Er
```

Values from the calculation:
offset from the most stable computed form: 143 meV/atom
energy of formation from the pure elements: 143 meV/atom


(10)
Compound: Er
Source: the Materials Project database
Functional: PBE
Structure: relaxed

POSCAR file:
```
Er
1.0
-2.996 -0.803 1.802
2.727 -2.330 -0.076
2.119 2.332 4.564
Er
2
Cartesian
1.349 -1.238 1.691 Er
0.501 0.437 4.599 Er
```

Values from the calculation:
offset from the most stable computed form: 7 meV/atom
energy of formation from the pure elements: 7 meV/atom


(11)
Compound: Eu3Er
Source: the Materials Project database
Functional: PBE
Structure: relaxed

POSCAR file:
```
Eu3Er
1.0
-4.658 3.992 4.580
-2.136 -6.889 -2.567
2.585 -2.638 4.929
Er Eu
2 6
Cartesian
-1.038 -5.240 3.512 Er
-3.171 -0.294 3.430 Er
-1.918 -5.700 -0.120 Eu
-2.291 0.165 7.062 Eu
-3.338 -3.213 5.804 Eu
-0.007 -1.792 4.817 Eu
-4.202 -3.743 2.125 Eu
-0.871 -2.322 1.138 Eu
```

Values from the calculation:
total magnetic moment: 45.33 Bohr magnetons per cell
energy of formation from the pure elements: 82 meV/atom


(12)
Compound: EuEr2Se4
Source: the Materials Project database
Functional: PBE
Structure: relaxed

POSCAR file:
```
EuEr2Se4
1.0
-1.066 -3.839 -1.025
10.890 -1.424 -5.993
6.218 -5.066 12.504
Se Er Eu
16 8 4
Cartesian
11.609 -5.376 3.933 Se
0.673 -3.404 -0.336 Se
7.787 -4.471 4.518 Se
14.256 -7.891 2.342 Se
1.786 -2.438 3.144 Se
4.433 -4.952 1.553 Se
6.803 -2.801 -0.714 Se
15.370 -6.925 5.821 Se
4.457 -3.834 5.595 Se
9.240 -7.528 6.200 Se
11.585 -6.495 -0.109 Se
7.117 -5.441 8.845 Se
8.256 -5.858 0.968 Se
12.630 -6.769 8.084 Se
8.925 -4.888 -3.359 Se
3.412 -3.560 -2.598 Se
13.444 -5.296 1.721 Er
5.421 -7.474 9.970 Er
10.622 -2.854 -4.485 Er
2.598 -5.033 3.764 Er
6.909 -3.553 1.994 Er
6.152 -4.205 -3.034 Er
9.134 -6.775 3.491 Er
9.890 -6.124 8.520 Er
12.457 -8.163 5.230 Eu
3.585 -2.166 0.256 Eu
10.084 -3.737 -0.621 Eu
5.958 -6.592 6.107 Eu
```

Values from the calculation:
energy of formation from the pure elements: -2199 meV/atom


Number 1: final energy -1.8562 eV/atom. Number 2: final energy -3.2800 eV/atom. Number 3: final energy -5.4968 eV/atom. Number 4: final energy -6.4729 eV/atom. Number 5: final energy -5.4989 eV/atom. Number 6: final energy -4.5677 eV/atom. Number 7: final energy -4.5599 eV/atom. Number 8: final energy -4.5408 eV/atom. Number 9: final energy -4.4248 eV/atom. Number 10: final energy -4.5610 eV/atom. Number 11: final energy -8.7528 eV/atom. Number 12: final energy -6.6970 eV/atom.